A relaxed structure of ZrNi4O, computed with GGA+U.

Unit cell a=4.702 b=4.702 c=4.702 alpha=60.00 beta=60.00 gamma=60.00
Atoms (fractional coordinates):
Zr 0.000 0.000 0.000
Ni 0.375 0.375 0.375
Ni 0.375 0.375 0.875
Ni 0.375 0.875 0.375
Ni 0.875 0.375 0.375
O 0.750 0.750 0.750

Total DFT energy (no corrections)   -3.207 eV/atom
Space-group type   No. 216

=====

A relaxed structure of Zr3NiO, computed with GGA+U.

Unit cell a=5.719 b=5.719 c=8.839 alpha=90.00 beta=90.00 gamma=145.97
Atoms (fractional coordinates):
Zr 0.066 0.934 0.750
Zr 0.365 0.635 0.560
Zr 0.365 0.635 0.940
Zr 0.635 0.365 0.060
Zr 0.635 0.365 0.440
Zr 0.934 0.066 0.250
Ni 0.244 0.756 0.250
Ni 0.756 0.244 0.750
O 0.000 0.000 0.000
O 0.000 0.000 0.500

Total DFT energy (no corrections)   -7.606 eV/atom
Space-group type   No. 63

=====

A relaxed structure of NpV4O12, computed with GGA+U.

Unit cell a=15.837 b=15.837 c=15.837 alpha=148.24 beta=148.24 gamma=45.53
Atoms (fractional coordinates):
Np 0.125 0.375 0.750
Np 0.375 0.125 0.250
Np 0.625 0.875 0.750
Np 0.875 0.625 0.250
V 0.055 0.094 0.252
V 0.094 0.342 0.039
V 0.158 0.406 0.461
V 0.197 0.945 0.539
V 0.303 0.842 0.748
V 0.342 0.803 0.248
V 0.406 0.445 0.248
V 0.445 0.697 0.039
V 0.555 0.303 0.961
V 0.594 0.555 0.752
V 0.658 0.197 0.752
V 0.697 0.158 0.252
V 0.803 0.055 0.461
V 0.842 0.594 0.539
V 0.906 0.658 0.961
V 0.945 0.906 0.748
O 0.008 0.516 0.878
O 0.016 0.508 0.378
O 0.040 0.790 0.250
O 0.061 0.250 0.311
O 0.091 0.179 0.450
O 0.131 0.008 0.992
O 0.139 0.131 0.622
O 0.141 0.729 0.550
O 0.179 0.229 0.088
O 0.210 0.960 0.250
O 0.229 0.641 0.050
O 0.250 0.439 0.189
O 0.250 0.939 0.689
O 0.271 0.321 0.412
O 0.290 0.540 0.750
O 0.321 0.409 0.050
O 0.359 0.909 0.588
O 0.361 0.984 0.992
O 0.369 0.361 0.878
O 0.409 0.859 0.088
O 0.439 0.750 0.189
O 0.460 0.710 0.750
O 0.484 0.861 0.492
O 0.492 0.369 0.508
O 0.508 0.631 0.492
O 0.516 0.139 0.508
O 0.540 0.290 0.250
O 0.561 0.250 0.811
O 0.591 0.141 0.912
O 0.631 0.639 0.122
O 0.639 0.016 0.008
O 0.641 0.091 0.412
O 0.679 0.591 0.950
O 0.710 0.460 0.250
O 0.729 0.679 0.588
O 0.750 0.061 0.311
O 0.750 0.561 0.811
O 0.771 0.359 0.950
O 0.790 0.040 0.750
O 0.821 0.771 0.912
O 0.859 0.271 0.450
O 0.861 0.869 0.378
O 0.869 0.992 0.008
O 0.909 0.821 0.550
O 0.939 0.750 0.689
O 0.960 0.210 0.750
O 0.984 0.492 0.622
O 0.992 0.484 0.122

Total DFT energy (no corrections)   -8.056 eV/atom
Space-group type   No. 142

=====

A relaxed structure of VOsO3, computed with GGA+U.

Unit cell a=3.912 b=3.912 c=3.912 alpha=90.00 beta=90.00 gamma=90.00
Atoms (fractional coordinates):
V 0.000 0.000 0.000
Os 0.500 0.500 0.500
O 0.000 0.500 0.500
O 0.500 0.000 0.500
O 0.500 0.500 0.000

Total DFT energy (no corrections)   -7.112 eV/atom
Space-group type   No. 221

=====

A relaxed structure of V3P4PbO17, computed with GGA+U.

Unit cell a=7.649 b=10.253 c=16.601 alpha=90.00 beta=90.00 gamma=90.00
Atoms (fractional coordinates):
V 0.212 0.249 0.496
V 0.219 0.174 0.848
V 0.220 0.323 0.150
V 0.280 0.677 0.650
V 0.281 0.826 0.348
V 0.288 0.751 0.996
V 0.712 0.251 0.504
V 0.719 0.326 0.152
V 0.720 0.177 0.850
V 0.780 0.823 0.350
V 0.781 0.674 0.652
V 0.788 0.749 0.004
P 0.194 0.862 0.812
P 0.196 0.364 0.689
P 0.203 0.939 0.539
P 0.207 0.436 0.962
P 0.293 0.564 0.462
P 0.297 0.061 0.039
P 0.304 0.636 0.189
P 0.306 0.138 0.312
P 0.694 0.638 0.188
P 0.696 0.136 0.311
P 0.703 0.561 0.461
P 0.707 0.064 0.038
P 0.793 0.936 0.538
P 0.797 0.439 0.961
P 0.804 0.864 0.811
P 0.806 0.362 0.688
Pb 0.009 0.938 0.178
Pb 0.491 0.062 0.678
Pb 0.509 0.562 0.822
Pb 0.991 0.438 0.322
O 0.000 0.169 0.835
O 0.000 0.373 0.723
O 0.000 0.669 0.665
O 0.000 0.873 0.777
O 0.001 0.231 0.471
O 0.001 0.331 0.144
O 0.001 0.427 0.972
O 0.181 0.835 0.901
O 0.192 0.341 0.600
O 0.214 0.248 0.266
O 0.219 0.110 0.961
O 0.219 0.612 0.541
O 0.219 0.750 0.236
O 0.220 0.504 0.211
O 0.222 0.004 0.294
O 0.241 0.644 0.388
O 0.242 0.137 0.114
O 0.243 0.423 0.440
O 0.248 0.082 0.559
O 0.252 0.918 0.059
O 0.257 0.577 0.940
O 0.258 0.863 0.614
O 0.259 0.356 0.888
O 0.278 0.996 0.794
O 0.280 0.496 0.711
O 0.281 0.250 0.736
O 0.281 0.388 0.041
O 0.281 0.890 0.461
O 0.286 0.752 0.766
O 0.308 0.659 0.100
O 0.319 0.165 0.401
O 0.499 0.573 0.472
O 0.499 0.669 0.644
O 0.499 0.769 0.971
O 0.500 0.127 0.277
O 0.500 0.331 0.165
O 0.500 0.627 0.223
O 0.500 0.831 0.335
O 0.501 0.073 0.028
O 0.501 0.169 0.856
O 0.501 0.269 0.529
O 0.681 0.665 0.099
O 0.692 0.159 0.400
O 0.714 0.252 0.734
O 0.719 0.390 0.039
O 0.719 0.750 0.764
O 0.719 0.888 0.459
O 0.720 0.996 0.789
O 0.722 0.496 0.706
O 0.741 0.856 0.612
O 0.742 0.363 0.886
O 0.743 0.077 0.560
O 0.748 0.418 0.441
O 0.752 0.582 0.941
O 0.757 0.923 0.060
O 0.758 0.637 0.386
O 0.759 0.144 0.112
O 0.778 0.504 0.206
O 0.780 0.004 0.289
O 0.781 0.112 0.959
O 0.781 0.250 0.264
O 0.781 0.610 0.539
O 0.786 0.748 0.234
O 0.808 0.841 0.900
O 0.819 0.335 0.599
O 0.999 0.731 0.029
O 0.999 0.831 0.356
O 0.999 0.927 0.528

Total DFT energy (no corrections)   -7.359 eV/atom
Space-group type   No. 19

=====

A relaxed structure of VP3Pb6O16, computed with GGA+U.

Unit cell a=5.939 b=7.608 c=9.671 alpha=100.87 beta=90.34 gamma=112.68
Atoms (fractional coordinates):
V 0.000 0.000 0.000
P 0.206 0.405 0.391
P 0.508 0.006 0.502
P 0.707 0.406 0.892
Pb 0.006 0.846 0.300
Pb 0.059 0.207 0.694
Pb 0.353 0.847 0.790
Pb 0.366 0.577 0.102
Pb 0.651 0.207 0.201
Pb 0.710 0.563 0.599
O 0.037 0.494 0.335
O 0.070 0.181 0.363
O 0.098 0.249 0.031
O 0.207 0.934 0.086
O 0.263 0.944 0.576
O 0.276 0.483 0.555
O 0.437 0.928 0.340
O 0.451 0.467 0.317
O 0.523 0.468 0.815
O 0.618 0.180 0.865
O 0.644 0.230 0.530
O 0.677 0.918 0.561
O 0.714 0.485 0.055
O 0.719 0.908 0.069
O 0.962 0.492 0.834
O 0.994 0.914 0.817

Total DFT energy (no corrections)   -6.637 eV/atom
Space-group type   No. 1

=====

| no. | density (g cm⁻³) |
| --- | --- |
| 1 | 7.7 |
| 2 | 7.2 |
| 3 | 3.8 |
| 4 | 8.0 |
| 5 | 3.9 |
| 6 | 6.9 |